# 1
Below is an optimized crystal structure of Lu5SbPt2, with properties calculated at the r²SCAN level.

Properties
* energy: -3.0155 Ry per atom
* energy relative to the elements: -110.3 kJ/mol of atoms
* total magnetic moment: 0.0 μB per formula unit
* mass density: 12.154 g/cm3

The structure in extended XYZ format:
```
16
Lattice="-3.754 3.754 6.723 3.754 -3.754 6.723 3.754 3.754 -6.723" Properties=species:S:1:pos:R:3 pbc="T T T"
Lu 0.000 0.000 0.000
Lu 4.921 1.167 -1.875
Lu 1.167 2.586 -1.875
Lu 4.921 1.167 1.875
Lu 1.167 2.586 1.875
Lu 0.000 0.000 6.723
Lu 2.586 1.167 4.847
Lu -1.167 2.586 4.847
Lu 2.586 1.167 8.598
Lu -1.167 2.586 8.598
Sb 0.000 0.000 3.361
Sb 0.000 0.000 10.084
Pt 2.697 1.057 0.000
Pt 2.697 -1.057 6.723
Pt 1.057 4.811 0.000
Pt 1.057 2.697 6.723
```

=====

# 2
Below is an optimized crystal structure of MgIn, with properties calculated at the r²SCAN level.

Properties
* energy: -0.9908 Ry per atom
* energy relative to the elements: -10.3 kJ/mol of atoms
* total magnetic moment: 0.0 μB per formula unit
* mass density: 5.041 g/cm3

The structure in extended XYZ format:
```
4
Lattice="5.279 0.000 0.000 0.000 3.224 0.000 0.000 0.000 5.385" Properties=species:S:1:pos:R:3 pbc="T T T"
Mg 1.320 0.000 1.020
Mg 3.959 0.000 4.365
In 1.320 1.612 3.724
In 3.959 1.612 1.661
```

=====

# 3
Below is an optimized crystal structure of YRhO3, with properties calculated at the r²SCAN level.

Properties
* energy: -1.0980 Ry per atom
* energy relative to the elements: -237.9 kJ/mol of atoms
* total magnetic moment: 0.0 μB per formula unit
* mass density: 6.981 g/cm3

The structure in extended XYZ format:
```
20
Lattice="5.759 0.000 0.000 0.000 7.580 0.000 0.000 0.000 5.227" Properties=species:S:1:pos:R:3 pbc="T T T"
Y 0.482 1.895 0.155
Y 2.397 5.685 2.768
Y 3.361 1.895 2.458
Y 5.277 5.685 5.072
Rh 0.000 0.000 2.613
Rh 0.000 3.790 2.613
Rh 2.879 0.000 0.000
Rh 2.879 3.790 0.000
O 0.296 5.685 1.922
O 1.096 4.255 4.304
O 1.096 7.116 4.304
O 1.783 0.465 1.690
O 1.783 3.325 1.690
O 2.583 1.895 4.536
O 3.176 5.685 0.691
O 3.976 4.255 3.536
O 3.976 7.116 3.536
O 4.662 0.465 0.923
O 4.662 3.325 0.923
O 5.462 1.895 3.305
```

=====

# 4
Below is an optimized crystal structure of CsNaTe, with properties calculated at the r²SCAN level.

Properties
* energy: -1.4156 Ry per atom
* energy relative to the elements: -118.7 kJ/mol of atoms
* total magnetic moment: 0.0 μB per formula unit
* mass density: 3.867 g/cm3

The structure in extended XYZ format:
```
6
Lattice="5.319 0.000 0.000 0.000 5.319 0.000 0.000 0.000 8.604" Properties=species:S:1:pos:R:3 pbc="T T T"
Cs 1.330 1.330 1.340
Cs 3.989 3.989 7.265
Na 1.330 3.989 4.302
Na 3.989 1.330 4.302
Te 1.330 1.330 6.016
Te 3.989 3.989 2.589
```

=====

# 5
Below is an optimized crystal structure of GeO2, with properties calculated at the r²SCAN level.

Properties
* energy: -0.7653 Ry per atom
* energy relative to the elements: -174.3 kJ/mol of atoms
* total magnetic moment: 0.0 μB per formula unit
* mass density: 6.331 g/cm3

The structure in extended XYZ format:
```
12
Lattice="4.312 0.000 0.000 0.000 5.330 0.000 0.000 0.000 4.777" Properties=species:S:1:pos:R:3 pbc="T T T"
Ge 0.000 0.843 1.194
Ge 0.000 4.487 3.583
Ge 2.156 1.822 3.583
Ge 2.156 3.507 1.194
O 1.001 0.602 2.767
O 1.001 4.727 0.379
O 1.155 2.062 0.379
O 1.155 3.267 2.767
O 3.157 2.062 2.010
O 3.157 3.267 4.399
O 3.311 0.602 4.399
O 3.311 4.727 2.010
```

=====

# 6
Below is an optimized crystal structure of K2Nb3S6, with properties calculated at the r²SCAN level.

Properties
* energy: -1.0012 Ry per atom
* energy relative to the elements: -135.0 kJ/mol of atoms
* total magnetic moment: 0.3 μB per formula unit
* mass density: 3.790 g/cm3

The structure in extended XYZ format:
```
22
Lattice="15.775 0.000 0.000 0.000 5.141 2.968 0.000 -5.141 2.968" Properties=species:S:1:pos:R:3 pbc="T T T"
K 0.000 -3.427 2.968
K 0.000 3.427 2.968
K 7.888 -1.715 1.978
K 7.888 1.715 1.978
Nb 3.932 -1.723 1.973
Nb 3.932 1.723 1.973
Nb 3.928 0.000 4.958
Nb 11.843 -1.723 1.973
Nb 11.843 1.723 1.973
Nb 11.847 0.000 4.958
S 2.395 0.000 1.009
S 2.395 -1.698 3.947
S 2.395 1.698 3.947
S 5.470 0.000 0.987
S 5.470 -1.699 3.959
S 5.470 1.699 3.959
S 10.305 0.000 0.987
S 10.305 -1.699 3.959
S 10.305 1.699 3.959
S 13.380 0.000 1.009
S 13.380 -1.698 3.947
S 13.380 1.698 3.947
```

=====

# 7
Below is an optimized crystal structure of Rb2TiSi6O15, with properties calculated at the r²SCAN level.

Properties
* energy: -0.7812 Ry per atom
* energy relative to the elements: -289.8 kJ/mol of atoms
* total magnetic moment: 0.0 μB per formula unit
* mass density: 3.049 g/cm3

The structure in extended XYZ format:
```
48
Lattice="6.373 -3.669 0.000 6.373 3.669 0.000 -3.944 0.000 14.609" Properties=species:S:1:pos:R:3 pbc="T T T"
Rb 4.401 2.767 7.305
Rb 5.494 0.974 2.447
Rb 3.521 -0.974 9.752
Rb 6.373 -2.767 0.000
Ti 8.845 1.904 1.051
Ti 6.873 -1.904 8.356
Si 2.749 2.344 10.696
Si 1.320 0.378 3.405
Si -0.165 0.496 13.705
Si -0.652 -0.378 10.710
Si 1.808 -0.496 6.400
Si 2.779 0.735 13.465
Si 4.751 -0.735 6.160
Si 7.480 0.212 5.977
Si 6.899 0.546 10.546
Si 5.508 -0.212 13.281
Si 4.721 -2.344 3.391
Si 8.871 -0.546 3.242
O -0.545 0.863 9.724
O 2.504 1.489 3.207
O 2.112 1.630 9.421
O -0.732 0.094 12.250
O 1.241 -0.094 4.945
O 4.328 2.506 10.383
O 0.877 0.047 7.567
O 2.849 -0.047 0.262
O 2.552 1.444 12.024
O 1.428 -0.863 2.420
O 7.166 1.747 0.004
O 3.357 0.016 6.561
O 1.384 -0.016 13.865
O 0.532 -1.489 10.512
O 5.852 0.469 5.958
O 8.246 1.543 6.491
O 4.084 -1.630 2.116
O 5.884 1.030 14.209
O 3.880 -0.469 13.263
O 4.525 -1.444 4.719
O 8.437 0.140 1.870
O 5.905 0.047 11.728
O 7.877 -0.047 4.424
O 6.465 -0.140 9.175
O 5.194 -1.747 7.308
O 8.452 0.151 10.947
O 6.300 -2.506 3.079
O 7.856 -1.030 6.904
O 10.424 -0.151 3.642
O 6.274 -1.543 13.796
```

=====

# 8
Below is an optimized crystal structure of NbSI, with properties calculated at the r²SCAN level.

Properties
* energy: -1.4783 Ry per atom
* energy relative to the elements: -96.9 kJ/mol of atoms
* total magnetic moment: 0.5 μB per formula unit
* mass density: 5.266 g/cm3

The structure in extended XYZ format:
```
12
Lattice="3.863 2.230 6.149 -3.863 2.230 6.149 0.000 -4.460 6.149" Properties=species:S:1:pos:R:3 pbc="T T T"
Nb 0.000 0.000 0.000
Nb -2.325 -1.342 14.536
Nb 2.325 -1.342 14.536
Nb 0.000 2.685 14.536
S 0.000 0.000 3.904
S 0.000 -2.205 7.115
S -1.910 1.103 7.115
S 1.910 1.103 7.115
I -1.967 -1.136 10.143
I 0.000 0.000 13.193
I 1.967 -1.136 10.143
I 0.000 2.271 10.143
```

=====

# 9
Below is an optimized crystal structure of Ni2SbTe2, with properties calculated at the r²SCAN level.

Properties
* energy: -1.4974 Ry per atom
* energy relative to the elements: -26.3 kJ/mol of atoms
* total magnetic moment: 0.0 μB per formula unit
* mass density: 7.642 g/cm3

The structure in extended XYZ format:
```
10
Lattice="3.904 0.000 0.000 -1.952 3.381 0.000 0.000 0.000 16.275" Properties=species:S:1:pos:R:3 pbc="T T T"
Ni 0.000 0.000 2.750
Ni 0.000 0.000 5.388
Ni 0.000 0.000 10.887
Ni 0.000 0.000 13.525
Sb 0.000 2.254 4.069
Sb 1.952 1.127 12.206
Te 0.000 2.254 9.678
Te 0.000 2.254 14.734
Te 1.952 1.127 1.541
Te 1.952 1.127 6.597
```

=====

# 10
Below is an optimized crystal structure of SiP2, with properties calculated at the r²SCAN level.

Properties
* energy: -0.6654 Ry per atom
* energy relative to the elements: -12.3 kJ/mol of atoms
* total magnetic moment: 0.0 μB per formula unit
* mass density: 3.194 g/cm3
* E above lowest polymorph: 15 meV/atom

The structure in extended XYZ format:
```
12
Lattice="5.721 0.000 0.000 0.000 5.721 0.000 0.000 0.000 5.721" Properties=species:S:1:pos:R:3 pbc="T T T"
Si 0.000 0.000 0.000
Si 0.000 2.860 2.860
Si 2.860 0.000 2.860
Si 2.860 2.860 0.000
P 0.619 3.480 5.101
P 0.619 5.101 2.241
P 2.241 0.619 5.101
P 2.241 2.241 2.241
P 3.480 3.480 3.480
P 3.480 5.101 0.619
P 5.101 0.619 3.480
P 5.101 2.241 0.619
```

=====

# 11
Below is an optimized crystal structure of BaMnO3, with properties calculated at the r²SCAN level.

Properties
* energy: -1.0588 Ry per atom
* energy relative to the elements: -249.5 kJ/mol of atoms
* total magnetic moment: 3.0 μB per formula unit
* mass density: 5.765 g/cm3

The structure in extended XYZ format:
```
20
Lattice="0.000 0.000 -4.882 -4.955 -2.861 0.000 -4.955 8.582 0.000" Properties=species:S:1:pos:R:3 pbc="T T T"
Ba -6.607 5.721 -1.309
Ba -3.303 0.000 -3.750
Ba -8.259 2.860 -3.750
Ba -1.652 2.861 -1.309
O -0.732 1.268 -3.827
O -9.178 4.453 -1.386
O -4.223 -1.594 -1.387
O -4.223 4.128 -1.387
O -5.687 7.314 -3.828
O -8.446 5.721 -3.828
O -4.223 1.592 -1.386
O -3.491 2.860 -3.828
O -1.464 0.000 -1.387
O -6.419 2.860 -1.387
O -5.687 4.128 -3.827
O -5.687 1.593 -3.828
Mn 0.000 0.000 -2.606
Mn -4.955 2.860 -2.606
Mn -4.955 8.581 -0.165
Mn -4.955 2.860 -0.165
```

=====

# 12
Below is an optimized crystal structure of Th2Si3Os, with properties calculated at the r²SCAN level.

Properties
* energy: -2.8273 Ry per atom
* energy relative to the elements: -73.1 kJ/mol of atoms
* total magnetic moment: 0.0 μB per formula unit
* mass density: 9.874 g/cm3

The structure in extended XYZ format:
```
12
Lattice="4.087 0.000 0.000 0.000 4.231 0.000 0.000 0.000 14.367" Properties=species:S:1:pos:R:3 pbc="T T T"
Th 0.000 0.000 0.000
Th 0.000 2.115 3.505
Th 2.043 0.000 10.688
Th 2.043 2.115 7.184
Si 0.000 0.000 5.992
Si 0.000 2.115 9.545
Si 0.000 2.115 11.920
Si 2.043 0.000 2.361
Si 2.043 0.000 4.736
Si 2.043 2.115 13.176
Os 0.000 0.000 8.353
Os 2.043 2.115 1.170
```